(1)
MgW2Br4O4 after structural relaxation. Source: the Materials Project database, functional PBE with a Hubbard U.

Properties
- Crystal system: triclinic
- Calculated volume: 25.7 A^3/atom
- VASP energy: -5.34 eV per atom
- Magnetization: 2.00 μB per formula unit
- Energy relative to the elements: -1.50 eV/atom
- Energy above the most stable polymorph in this dataset: 0.0 kJ per mole of atoms
- MP2020-corrected energy: -6.393 eV per atom

Cell: 3.9021 7.8829 9.2003 Å, 90.66 90.02 90.18°
Atoms (fractional coordinates):
O 0.9988 0.7185 0.9789
O 0.4999 0.9357 0.9914
O 0.0017 0.2098 0.0032
O 0.5000 0.4761 0.9883
Mg 0.4973 0.7384 0.8422
W 0.0001 0.9749 0.0189
W 0.9982 0.4643 0.0031
Br 0.9986 0.9444 0.7144
Br 0.0005 0.4705 0.2723
Br 0.0004 0.9604 0.2863
Br 0.0044 0.4779 0.7154

---

(2)
Li2Cr3SbO8 after structural relaxation. Source: the Materials Project database, functional PBE with a Hubbard U.

Properties
- Calculated volume: 11.1 A^3/atom
- VASP energy: -6.96 eV per atom
- Magnetization: 0.00 μB per formula unit
- Energy relative to the elements: -2.32 eV/atom
- Energy above the most stable polymorph in this dataset: 0.4 kJ per mole of atoms
- MP2020-corrected energy: -7.785 eV per atom

Cell: 5.9925 10.4047 6.0835 Å, 106.52 60.49 90.00°
Atoms (fractional coordinates):
O 0.1514 0.1319 0.2440
O 0.6034 0.1324 0.7954
O 0.8469 0.8681 0.7578
O 0.3781 0.3581 0.2436
O 0.6047 0.1319 0.2422
O 0.3954 0.8681 0.7560
O 0.3469 0.3681 0.7578
O 0.6218 0.6419 0.7564
O 0.1047 0.6319 0.2422
O 0.8781 0.8581 0.2437
O 0.1034 0.6324 0.7954
O 0.6514 0.6319 0.2439
O 0.8954 0.3681 0.7561
O 0.8988 0.3676 0.2046
O 0.3988 0.8676 0.2046
O 0.1218 0.1419 0.7563
Cr 0.2502 0.7506 0.0002
Cr 0.7504 0.7494 0.9998
Cr 0.7503 0.2506 0.0001
Cr 0.2504 0.2494 0.9998
Cr 0.4988 0.0000 0.0000
Cr 0.9987 0.5000 0.0000
Li 0.6957 0.4348 0.6085
Li 0.3042 0.5652 0.3915
Li 0.8042 0.0652 0.3915
Li 0.1957 0.9348 0.6085
Sb 0.2502 0.2500 0.5000
Sb 0.7502 0.7500 0.5000

---

(3)
Li9Mn2Co5O16 after structural relaxation. Source: the Materials Project database, functional PBE with a Hubbard U.

Properties
- Crystal system: monoclinic
- Calculated volume: 9.0 A^3/atom
- VASP energy: -5.82 eV per atom
- Magnetization: 10.00 μB per formula unit
- Energy relative to the elements: -1.83 eV/atom
- Energy above the most stable polymorph in this dataset: 3.6 kJ per mole of atoms
- MP2020-corrected energy: -6.521 eV per atom

Cell: 6.6416 6.6416 15.3525 Å, 87.75 87.75 25.22°
Atoms (fractional coordinates):
Li 0.3143 0.3143 0.0578
Li 0.1891 0.1891 0.4348
Li 0.0586 0.0586 0.8157
Li 0.8130 0.8130 0.5620
Li 0.4359 0.4359 0.6928
Li 0.5627 0.5627 0.3090
Li 0.9352 0.9352 0.1884
Li 0.3744 0.3744 0.8780
Li 0.6929 0.6929 0.9353
O 0.8570 0.8570 0.9722
O 0.2168 0.2168 0.8367
O 0.5285 0.5285 0.9173
O 0.7757 0.7757 0.1606
O 0.4017 0.4017 0.2880
O 0.0965 0.0965 0.2129
O 0.0254 0.0254 0.4161
O 0.1455 0.1455 0.0362
O 0.4742 0.4742 0.0843
O 0.9010 0.9010 0.7754
O 0.6554 0.6554 0.5428
O 0.7209 0.7209 0.3413
O 0.5953 0.5953 0.7059
O 0.3461 0.3461 0.4637
O 0.9826 0.9826 0.5838
O 0.2676 0.2676 0.6592
Co 0.5000 0.5000 0.4986
Co 0.6261 0.6261 0.1238
Co 0.7649 0.7649 0.7597
Co 0.2487 0.2487 0.2495
Co 0.8714 0.8714 0.3752
Mn 0.1283 0.1283 0.6262
Mn 0.9940 0.9940 0.9969

---

(4)
MgMn2V2Bi2O10 after structural relaxation. Source: the Materials Project database, functional PBE with a Hubbard U.

Properties
- Crystal system: triclinic
- Calculated volume: 15.1 A^3/atom
- VASP energy: -6.83 eV per atom
- Magnetization: 8.03 μB per formula unit
- Energy relative to the elements: -2.02 eV/atom
- Energy above the most stable polymorph in this dataset: 8.2 kJ per mole of atoms
- MP2020-corrected energy: -7.634 eV per atom

Cell: 5.3975 7.3787 7.6994 Å, 113.98 107.10 97.27°
Atoms (fractional coordinates):
O 0.4082 0.2646 0.9681
O 0.1102 0.7956 0.8753
O 0.8898 0.2044 0.1247
O 0.5918 0.7354 0.0319
O 0.4447 0.0597 0.2653
O 0.5553 0.9403 0.7347
O 0.7296 0.4921 0.4538
O 0.1980 0.6372 0.2393
O 0.2704 0.5079 0.5462
O 0.8020 0.3628 0.7607
Bi 0.1040 0.7518 0.5361
Bi 0.8960 0.2482 0.4639
Mg 0.5000 0.0000 0.0000
Mn 0.3119 0.3577 0.2414
Mn 0.6881 0.6423 0.7586
V 0.3116 0.7596 0.1055
V 0.6884 0.2404 0.8945